Below is crystalline Sr2NbN3 at its relaxed geometry, with properties calculated at the r²SCAN level.

Structure (CIF):
```
data_Sr2NbN3
_chemical_formula_sum 'Sr8 Nb4 N12'
_space_group_name_H-M_alt 'P 1'
_space_group_IT_number 1
_cell_length_a 6.3932
_cell_length_b 6.3932
_cell_length_c 12.6111
_cell_angle_alpha 88.73
_cell_angle_beta 88.73
_cell_angle_gamma 123.47
loop_
_space_group_symop_operation_xyz
'x,y,z'
loop_
_atom_site_label
_atom_site_type_symbol
_atom_site_fract_x
_atom_site_fract_y
_atom_site_fract_z
Sr1 Sr 0.5379 0.9417 0.1420
Sr2 Sr 0.9417 0.5379 0.6420
Sr3 Sr 0.3870 0.1558 0.4226
Sr4 Sr 0.8442 0.6130 0.0774
Sr5 Sr 0.6130 0.8442 0.5774
Sr6 Sr 0.4621 0.0583 0.8580
Sr7 Sr 0.0583 0.4621 0.3580
Sr8 Sr 0.1558 0.3870 0.9226
N1 N 0.3250 0.0002 0.6241
N2 N 0.3862 0.1994 0.0400
N3 N 0.6138 0.8006 0.9600
N4 N 0.5045 0.4955 0.7500
N5 N 0.0002 0.3250 0.1241
N6 N 0.6750 0.9998 0.3759
N7 N 0.0903 0.9097 0.2500
N8 N 0.9097 0.0903 0.7500
N9 N 0.8006 0.6138 0.4600
N10 N 0.1994 0.3862 0.5400
N11 N 0.9998 0.6750 0.8759
N12 N 0.4955 0.5045 0.2500
Nb1 Nb 0.7662 0.7690 0.3367
Nb2 Nb 0.7690 0.7662 0.8367
Nb3 Nb 0.2338 0.2310 0.6633
Nb4 Nb 0.2310 0.2338 0.1633
```

E_tot (eV/cell): -359.60
ΔE_f (eV/atom): -1.248
Volume (Å³/atom): 17.9

---

Below is crystalline BaMgH4 at its relaxed geometry, with properties calculated at the r²SCAN level.

Structure (CIF):
```
data_BaMgH4
_chemical_formula_sum 'Ba2 Mg2 H8'
_space_group_name_H-M_alt 'P 1'
_space_group_IT_number 1
_cell_length_a 7.1848
_cell_length_b 7.1848
_cell_length_c 5.6879
_cell_angle_alpha 90.00
_cell_angle_beta 90.00
_cell_angle_gamma 33.92
loop_
_space_group_symop_operation_xyz
'x,y,z'
loop_
_atom_site_label
_atom_site_type_symbol
_atom_site_fract_x
_atom_site_fract_y
_atom_site_fract_z
H1 H 0.1887 0.1887 0.4908
H2 H 0.8113 0.8113 0.5092
H3 H 0.0000 0.0000 0.0000
H4 H 0.8113 0.8113 0.9908
H5 H 0.4160 0.4160 0.7500
H6 H 0.0000 0.0000 0.5000
H7 H 0.5840 0.5840 0.2500
H8 H 0.1887 0.1887 0.0092
Mg1 Mg 0.0959 0.0959 0.2500
Mg2 Mg 0.9041 0.9041 0.7500
Ba1 Ba 0.6372 0.6372 0.7500
Ba2 Ba 0.3628 0.3628 0.2500
```

E_tot (eV/cell): -94.70
ΔE_f (eV/atom): -0.477
Volume (Å³/atom): 13.7

---

Below is crystalline Ba2Mg3Si4 at its relaxed geometry, with properties calculated at the r²SCAN level.

Structure (CIF):
```
data_Ba2Mg3Si4
_chemical_formula_sum 'Ba4 Mg6 Si8'
_space_group_name_H-M_alt 'P 1'
_space_group_IT_number 1
_cell_length_a 4.6395
_cell_length_b 6.4758
_cell_length_c 15.6965
_cell_angle_alpha 94.66
_cell_angle_beta 90.00
_cell_angle_gamma 110.99
loop_
_space_group_symop_operation_xyz
'x,y,z'
loop_
_atom_site_label
_atom_site_type_symbol
_atom_site_fract_x
_atom_site_fract_y
_atom_site_fract_z
Si1 Si 0.5594 0.1188 0.4425
Si2 Si 0.4767 0.9534 0.2955
Si3 Si 0.4005 0.8011 0.9704
Si4 Si 0.5233 0.0466 0.7045
Si5 Si 0.2794 0.5589 0.2459
Si6 Si 0.7206 0.4411 0.7541
Si7 Si 0.5995 0.1989 0.0296
Si8 Si 0.4406 0.8812 0.5575
Mg1 Mg 0.2194 0.4389 0.0695
Mg2 Mg 0.6615 0.3229 0.2049
Mg3 Mg 0.8941 0.7882 0.6550
Mg4 Mg 0.7806 0.5611 0.9305
Mg5 Mg 0.3385 0.6771 0.7951
Mg6 Mg 0.1059 0.2118 0.3450
Ba1 Ba 0.9408 0.8816 0.1346
Ba2 Ba 0.8420 0.6839 0.4101
Ba3 Ba 0.0592 0.1184 0.8654
Ba4 Ba 0.1580 0.3161 0.5899
```

E_tot (eV/cell): -208.02
ΔE_f (eV/atom): -0.379
Volume (Å³/atom): 24.4

---

Below is crystalline CdGeN2 at its relaxed geometry, with properties calculated at the r²SCAN level.

Structure (CIF):
```
data_CdGeN2
_chemical_formula_sum 'Cd4 Ge4 N8'
_space_group_name_H-M_alt 'P 1'
_space_group_IT_number 1
_cell_length_a 5.6250
_cell_length_b 6.9099
_cell_length_c 5.4385
_cell_angle_alpha 90.00
_cell_angle_beta 90.00
_cell_angle_gamma 90.00
loop_
_space_group_symop_operation_xyz
'x,y,z'
loop_
_atom_site_label
_atom_site_type_symbol
_atom_site_fract_x
_atom_site_fract_y
_atom_site_fract_z
N1 N 0.4530 0.5924 0.8399
N2 N 0.3854 0.1578 0.9129
N3 N 0.1146 0.6578 0.4129
N4 N 0.0470 0.0924 0.3399
N5 N 0.8854 0.3422 0.9129
N6 N 0.5470 0.4076 0.3399
N7 N 0.6146 0.8422 0.4129
N8 N 0.9530 0.9076 0.8399
Cd1 Cd 0.0792 0.6238 0.9971
Cd2 Cd 0.4208 0.1238 0.4971
Cd3 Cd 0.9208 0.3762 0.4971
Cd4 Cd 0.5792 0.8762 0.9971
Ge1 Ge 0.5658 0.3746 0.0001
Ge2 Ge 0.9342 0.8746 0.5001
Ge3 Ge 0.0658 0.1254 0.0001
Ge4 Ge 0.4342 0.6254 0.5001
```

E_tot (eV/cell): -210.85
ΔE_f (eV/atom): -0.119
Volume (Å³/atom): 13.2

---

Below is crystalline TbCl3 at its relaxed geometry, with properties calculated at the r²SCAN level.

Structure (CIF):
```
data_TbCl3
_chemical_formula_sum 'Tb4 Cl12'
_space_group_name_H-M_alt 'P 1'
_space_group_IT_number 1
_cell_length_a 6.4148
_cell_length_b 6.4148
_cell_length_c 11.6932
_cell_angle_alpha 90.00
_cell_angle_beta 90.00
_cell_angle_gamma 90.00
loop_
_space_group_symop_operation_xyz
'x,y,z'
loop_
_atom_site_label
_atom_site_type_symbol
_atom_site_fract_x
_atom_site_fract_y
_atom_site_fract_z
Tb1 Tb 0.0000 0.0000 0.6715
Tb2 Tb 0.5000 0.5000 0.1715
Tb3 Tb 0.5000 0.5000 0.8285
Tb4 Tb 0.0000 0.0000 0.3285
Cl1 Cl 0.2931 0.2931 0.3312
Cl2 Cl 0.7931 0.2069 0.1688
Cl3 Cl 0.3077 0.3077 0.0000
Cl4 Cl 0.7069 0.7069 0.3312
Cl5 Cl 0.1923 0.8077 0.5000
Cl6 Cl 0.7931 0.2069 0.8312
Cl7 Cl 0.7069 0.7069 0.6688
Cl8 Cl 0.2931 0.2931 0.6688
Cl9 Cl 0.6923 0.6923 0.0000
Cl10 Cl 0.2069 0.7931 0.8312
Cl11 Cl 0.8077 0.1923 0.5000
Cl12 Cl 0.2069 0.7931 0.1688
```

E_tot (eV/cell): -239.10
ΔE_f (eV/atom): -2.523
Volume (Å³/atom): 30.1

---

Below is crystalline Sc3CoC4 at its relaxed geometry, with properties calculated at the r²SCAN level.

Structure (CIF):
```
data_Sc3CoC4
_chemical_formula_sum 'Sc3 Co1 C4'
_space_group_name_H-M_alt 'P 1'
_space_group_IT_number 1
_cell_length_a 3.4370
_cell_length_b 4.3222
_cell_length_c 6.5793
_cell_angle_alpha 109.18
_cell_angle_beta 105.14
_cell_angle_gamma 90.00
loop_
_space_group_symop_operation_xyz
'x,y,z'
loop_
_atom_site_label
_atom_site_type_symbol
_atom_site_fract_x
_atom_site_fract_y
_atom_site_fract_z
Sc1 Sc 0.0000 0.5000 0.0000
Sc2 Sc 0.8118 0.8118 0.6237
Sc3 Sc 0.1882 0.1882 0.3763
C1 C 0.3766 0.5445 0.7532
C2 C 0.6234 0.7913 0.2468
C3 C 0.3766 0.2087 0.7532
C4 C 0.6234 0.4555 0.2468
Co1 Co 0.5000 0.0000 0.0000
```

E_tot (eV/cell): -91.39
ΔE_f (eV/atom): -0.522
Volume (Å³/atom): 11.1

---

Below is crystalline Ca5Pt3 at its relaxed geometry, with properties calculated at the r²SCAN level.

Structure (CIF):
```
data_Ca5Pt3
_chemical_formula_sum 'Ca10 Pt6'
_space_group_name_H-M_alt 'P 1'
_space_group_IT_number 1
_cell_length_a 8.6154
_cell_length_b 8.6154
_cell_length_c 8.6154
_cell_angle_alpha 96.86
_cell_angle_beta 96.86
_cell_angle_gamma 139.55
loop_
_space_group_symop_operation_xyz
'x,y,z'
loop_
_atom_site_label
_atom_site_type_symbol
_atom_site_fract_x
_atom_site_fract_y
_atom_site_fract_z
Ca1 Ca 0.2890 0.4169 0.7059
Ca2 Ca 0.7110 0.5831 0.2941
Ca3 Ca 0.2110 0.9169 0.1280
Ca4 Ca 0.2500 0.7500 0.5000
Ca5 Ca 0.7890 0.0831 0.8720
Ca6 Ca 0.5831 0.2890 0.8720
Ca7 Ca 0.9169 0.7890 0.7059
Ca8 Ca 0.0831 0.2110 0.2941
Ca9 Ca 0.7500 0.2500 0.5000
Ca10 Ca 0.4169 0.7110 0.1280
Pt1 Pt 0.1555 0.6555 0.8110
Pt2 Pt 0.6555 0.8445 0.5000
Pt3 Pt 0.7500 0.7500 0.0000
Pt4 Pt 0.2500 0.2500 0.0000
Pt5 Pt 0.8445 0.3445 0.1890
Pt6 Pt 0.3445 0.1555 0.5000
```

E_tot (eV/cell): -392.81
ΔE_f (eV/atom): -0.843
Volume (Å³/atom): 24.3

---

Below is crystalline La4MgNi at its relaxed geometry, with properties calculated at the r²SCAN level.

Structure (CIF):
```
data_La4MgNi
_chemical_formula_sum 'La16 Mg4 Ni4'
_space_group_name_H-M_alt 'P 1'
_space_group_IT_number 1
_cell_length_a 10.0974
_cell_length_b 10.0973
_cell_length_c 10.0974
_cell_angle_alpha 60.00
_cell_angle_beta 60.00
_cell_angle_gamma 60.00
loop_
_space_group_symop_operation_xyz
'x,y,z'
loop_
_atom_site_label
_atom_site_type_symbol
_atom_site_fract_x
_atom_site_fract_y
_atom_site_fract_z
La1 La 0.1880 0.8120 0.1880
La2 La 0.8120 0.8120 0.1880
La3 La 0.4400 0.0600 0.4400
La4 La 0.0600 0.4400 0.4400
La5 La 0.4400 0.4400 0.0600
La6 La 0.8120 0.1880 0.8120
La7 La 0.1880 0.8120 0.8120
La8 La 0.0600 0.4400 0.0600
La9 La 0.8120 0.1880 0.1880
La10 La 0.0600 0.0600 0.4400
La11 La 0.5945 0.5945 0.5945
La12 La 0.4400 0.0600 0.0600
La13 La 0.2166 0.5945 0.5945
La14 La 0.5945 0.5945 0.2166
La15 La 0.1880 0.1880 0.8120
La16 La 0.5945 0.2166 0.5945
Ni1 Ni 0.3922 0.8234 0.3922
Ni2 Ni 0.8234 0.3921 0.3922
Ni3 Ni 0.3922 0.3922 0.8234
Ni4 Ni 0.3922 0.3922 0.3922
Mg1 Mg 0.8278 0.5164 0.8279
Mg2 Mg 0.8279 0.8279 0.8278
Mg3 Mg 0.8278 0.8279 0.5164
Mg4 Mg 0.5164 0.8279 0.8278
```

E_tot (eV/cell): -544.46
ΔE_f (eV/atom): -0.164
Volume (Å³/atom): 30.3

---

Below is crystalline K2SbF5 at its relaxed geometry, with properties calculated at the r²SCAN level.

Structure (CIF):
```
data_K2SbF5
_chemical_formula_sum 'K4 Sb2 F10'
_space_group_name_H-M_alt 'P 1'
_space_group_IT_number 1
_cell_length_a 6.2240
_cell_length_b 6.5225
_cell_length_c 7.2691
_cell_angle_alpha 90.00
_cell_angle_beta 115.35
_cell_angle_gamma 90.00
loop_
_space_group_symop_operation_xyz
'x,y,z'
loop_
_atom_site_label
_atom_site_type_symbol
_atom_site_fract_x
_atom_site_fract_y
_atom_site_fract_z
K1 K 0.2437 0.2500 0.4874
K2 K 0.4403 0.7500 0.8806
K3 K 0.5597 0.2500 0.1194
K4 K 0.7563 0.7500 0.5126
Sb1 Sb 0.0882 0.7500 0.1763
Sb2 Sb 0.9118 0.2500 0.8237
F1 F 0.3561 0.9666 0.2378
F2 F 0.3561 0.5334 0.2378
F3 F 0.1183 0.0334 0.7622
F4 F 0.2372 0.7500 0.4744
F5 F 0.8817 0.5334 0.2378
F6 F 0.8817 0.9666 0.2378
F7 F 0.6439 0.4666 0.7622
F8 F 0.7628 0.2500 0.5256
F9 F 0.1183 0.4666 0.7622
F10 F 0.6439 0.0334 0.7622
```

E_tot (eV/cell): -151.96
ΔE_f (eV/atom): -2.826
Volume (Å³/atom): 16.7

---

Below is crystalline ErAl10Re2 at its relaxed geometry, with properties calculated at the r²SCAN level.

Structure (CIF):
```
data_ErAl10Re2
_chemical_formula_sum 'Er6 Al60 Re12'
_space_group_name_H-M_alt 'P 1'
_space_group_IT_number 1
_cell_length_a 6.9015
_cell_length_b 6.9015
_cell_length_c 26.7587
_cell_angle_alpha 90.00
_cell_angle_beta 90.00
_cell_angle_gamma 96.17
loop_
_space_group_symop_operation_xyz
'x,y,z'
loop_
_atom_site_label
_atom_site_type_symbol
_atom_site_fract_x
_atom_site_fract_y
_atom_site_fract_z
Re1 Re 0.5000 0.0000 0.0000
Re2 Re 0.7510 0.7449 0.1631
Re3 Re 0.7449 0.7510 0.6631
Re4 Re 0.0000 0.5000 0.5000
Re5 Re 0.2551 0.2490 0.1631
Re6 Re 0.5000 0.0000 0.5000
Re7 Re 0.2490 0.2551 0.6631
Re8 Re 0.0000 0.5000 0.0000
Re9 Re 0.2490 0.2551 0.8369
Re10 Re 0.7449 0.7510 0.8369
Re11 Re 0.7510 0.7449 0.3369
Re12 Re 0.2551 0.2490 0.3369
Al1 Al 0.0317 0.5262 0.1708
Al2 Al 0.9683 0.4738 0.8292
Al3 Al 0.3793 0.1231 0.9170
Al4 Al 0.7723 0.5285 0.0808
Al5 Al 0.6207 0.8769 0.4170
Al6 Al 0.8747 0.1253 0.1458
Al7 Al 0.6300 0.3700 0.3214
Al8 Al 0.5262 0.0317 0.8292
Al9 Al 0.1253 0.8747 0.8542
Al10 Al 0.5262 0.0317 0.6708
Al11 Al 0.1655 0.8345 0.5340
Al12 Al 0.3776 0.6224 0.4779
Al13 Al 0.9639 0.7378 0.7500
Al14 Al 0.3700 0.6300 0.6786
Al15 Al 0.5285 0.7723 0.9192
Al16 Al 0.2622 0.0361 0.7500
Al17 Al 0.3700 0.6300 0.8214
Al18 Al 0.3776 0.6224 0.0221
Al19 Al 0.0924 0.9076 0.3004
Al20 Al 0.7933 0.7933 0.5000
Al21 Al 0.1231 0.3793 0.4170
Al22 Al 0.8345 0.1655 0.0340
Al23 Al 0.6300 0.3700 0.1786
Al24 Al 0.4738 0.9683 0.3292
Al25 Al 0.0361 0.2622 0.2500
Al26 Al 0.0317 0.5262 0.3292
Al27 Al 0.3793 0.1231 0.5830
Al28 Al 0.2067 0.2067 0.0000
Al29 Al 0.1253 0.8747 0.6458
Al30 Al 0.6207 0.8769 0.0830
Al31 Al 0.5285 0.7723 0.5808
Al32 Al 0.8747 0.1253 0.3542
Al33 Al 0.2277 0.4715 0.9192
Al34 Al 0.4715 0.2277 0.4192
Al35 Al 0.1751 0.3981 0.7500
Al36 Al 0.9076 0.0924 0.6996
Al37 Al 0.7933 0.7933 0.0000
Al38 Al 0.4048 0.5952 0.3668
Al39 Al 0.4048 0.5952 0.1332
Al40 Al 0.4738 0.9683 0.1708
Al41 Al 0.5952 0.4048 0.8668
Al42 Al 0.3981 0.1751 0.2500
Al43 Al 0.9076 0.0924 0.8004
Al44 Al 0.6224 0.3776 0.5221
Al45 Al 0.8249 0.6019 0.2500
Al46 Al 0.9683 0.4738 0.6708
Al47 Al 0.1655 0.8345 0.9660
Al48 Al 0.2067 0.2067 0.5000
Al49 Al 0.4715 0.2277 0.0808
Al50 Al 0.8769 0.6207 0.9170
Al51 Al 0.8345 0.1655 0.4660
Al52 Al 0.7378 0.9639 0.2500
Al53 Al 0.6224 0.3776 0.9779
Al54 Al 0.8769 0.6207 0.5830
Al55 Al 0.5952 0.4048 0.6332
Al56 Al 0.2277 0.4715 0.5808
Al57 Al 0.7723 0.5285 0.4192
Al58 Al 0.6019 0.8249 0.7500
Al59 Al 0.1231 0.3793 0.0830
Al60 Al 0.0924 0.9076 0.1996
Er1 Er 0.8754 0.1246 0.9154
Er2 Er 0.8754 0.1246 0.5846
Er3 Er 0.1246 0.8754 0.4154
Er4 Er 0.1246 0.8754 0.0846
Er5 Er 0.6180 0.3820 0.7500
Er6 Er 0.3820 0.6180 0.2500
```

E_tot (eV/cell): -1268.13
ΔE_f (eV/atom): -0.407
Volume (Å³/atom): 16.2

---

Below is crystalline K2Na2Nd4Nb2O13 at its relaxed geometry, with properties calculated at the r²SCAN level.

Structure (CIF):
```
data_K2Na2Nd4Nb2O13
_chemical_formula_sum 'K4 Na4 Nd8 Nb4 O26'
_space_group_name_H-M_alt 'P 1'
_space_group_IT_number 1
_cell_length_a 12.5349
_cell_length_b 12.5349
_cell_length_c 11.3608
_cell_angle_alpha 64.08
_cell_angle_beta 64.08
_cell_angle_gamma 26.47
loop_
_space_group_symop_operation_xyz
'x,y,z'
loop_
_atom_site_label
_atom_site_type_symbol
_atom_site_fract_x
_atom_site_fract_y
_atom_site_fract_z
O1 O 0.2475 0.7503 0.9757
O2 O 0.8261 0.4386 0.8595
O3 O 0.9040 0.3634 0.3585
O4 O 0.5614 0.1739 0.6405
O5 O 0.3246 0.2005 0.3783
O6 O 0.2005 0.3246 0.8783
O7 O 0.0960 0.6366 0.6415
O8 O 0.7575 0.2425 0.7500
O9 O 0.8349 0.3734 0.1564
O10 O 0.3634 0.9040 0.8585
O11 O 0.8633 0.4095 0.6217
O12 O 0.7995 0.6754 0.1217
O13 O 0.1367 0.5905 0.3783
O14 O 0.6266 0.1651 0.3436
O15 O 0.2425 0.7575 0.2500
O16 O 0.7503 0.2475 0.4757
O17 O 0.1739 0.5614 0.1405
O18 O 0.1651 0.6266 0.8436
O19 O 0.4386 0.8261 0.3595
O20 O 0.3734 0.8349 0.6564
O21 O 0.5905 0.1367 0.8783
O22 O 0.4095 0.8633 0.1217
O23 O 0.7525 0.2497 0.0243
O24 O 0.6754 0.7995 0.6217
O25 O 0.2497 0.7525 0.5243
O26 O 0.6366 0.0960 0.1415
Nd1 Nd 0.1006 0.0271 0.3260
Nd2 Nd 0.3910 0.4812 0.4507
Nd3 Nd 0.6090 0.5188 0.5493
Nd4 Nd 0.5188 0.6090 0.0493
Nd5 Nd 0.0271 0.1006 0.8260
Nd6 Nd 0.8994 0.9729 0.6740
Nd7 Nd 0.4812 0.3910 0.9507
Nd8 Nd 0.9729 0.8994 0.1740
Nb1 Nb 0.6207 0.6854 0.7152
Nb2 Nb 0.3146 0.3793 0.7848
Nb3 Nb 0.3793 0.3146 0.2848
Nb4 Nb 0.6854 0.6207 0.2152
Na1 Na 0.1240 0.1942 0.9759
Na2 Na 0.1942 0.1240 0.4759
Na3 Na 0.8058 0.8760 0.5241
Na4 Na 0.8760 0.8058 0.0241
K1 K 0.3014 0.2004 0.1329
K2 K 0.6986 0.7996 0.8671
K3 K 0.2004 0.3014 0.6329
K4 K 0.7996 0.6986 0.3671
```

E_tot (eV/cell): -667.91
ΔE_f (eV/atom): -3.044
Volume (Å³/atom): 15.5

---

Below is crystalline ScMnRh2 at its relaxed geometry, with properties calculated at the r²SCAN level.

Structure (CIF):
```
data_ScMnRh2
_chemical_formula_sum 'Sc1 Mn1 Rh2'
_space_group_name_H-M_alt 'P 1'
_space_group_IT_number 1
_cell_length_a 4.4260
_cell_length_b 4.4260
_cell_length_c 4.4260
_cell_angle_alpha 59.89
_cell_angle_beta 59.89
_cell_angle_gamma 59.89
loop_
_space_group_symop_operation_xyz
'x,y,z'
loop_
_atom_site_label
_atom_site_type_symbol
_atom_site_fract_x
_atom_site_fract_y
_atom_site_fract_z
Mn1 Mn 0.2500 0.2500 0.2500
Rh1 Rh 0.5000 0.5000 0.5000
Rh2 Rh 0.0000 0.0000 0.0000
Sc1 Sc 0.7500 0.7500 0.7500
```

E_tot (eV/cell): -77.61
ΔE_f (eV/atom): -0.814
Volume (Å³/atom): 15.3